This record from the Materials Project describes a relaxed structure of BaSb2F12. The functional is meta-GGA r2SCAN.

Structure (CIF):
```
data_BaSb2F12
_chemical_formula_sum 'Ba1 Sb2 F12'
_cell_length_a 5.202
_cell_length_b 5.642
_cell_length_c 9.333
_cell_angle_alpha 74.23
_cell_angle_beta 74.20
_cell_angle_gamma 63.49
_symmetry_space_group_name_H-M 'P 1'
_symmetry_Int_Tables_number 1
loop_
_symmetry_equiv_pos_as_xyz
'x,y,z'
loop_
_atom_site_label
_atom_site_fract_x
_atom_site_fract_y
_atom_site_fract_z
_atom_site_occupancy
Ba1 0.000 0.000 0.000 1
Sb1 0.582 0.504 0.330 1
Sb2 0.853 0.689 0.744 1
F1 0.009 0.531 0.933 1
F2 0.075 0.894 0.712 1
F3 0.153 0.387 0.670 1
F4 0.257 0.778 0.416 1
F5 0.387 0.279 0.362 1
F6 0.441 0.658 0.138 1
F7 0.557 0.960 0.860 1
F8 0.623 0.481 0.835 1
F9 0.675 0.852 0.576 1
F10 0.747 0.359 0.505 1
F11 0.789 0.735 0.253 1
F12 0.911 0.248 0.221 1
```

---

This record from the Materials Project describes a relaxed structure of BaSbF5. The functional is meta-GGA r2SCAN.

Structure (CIF):
```
data_BaSbF5
_chemical_formula_sum 'Ba4 Sb4 F20'
_cell_length_a 4.716
_cell_length_b 9.326
_cell_length_c 11.165
_cell_angle_alpha 90.00
_cell_angle_beta 90.00
_cell_angle_gamma 90.00
_symmetry_space_group_name_H-M 'P b c m'
_symmetry_Int_Tables_number 57
loop_
_symmetry_equiv_pos_as_xyz
'x,y,z'
'-x,-y,-z'
'-x,-y,z+1/2'
'x,y,-z+1/2'
'x,-y+1/2,-z'
'-x,y+1/2,z'
'-x,y+1/2,-z+1/2'
'x,-y+1/2,z+1/2'
loop_
_atom_site_label
_atom_site_fract_x
_atom_site_fract_y
_atom_site_fract_z
_atom_site_occupancy
Ba1 0.033 0.250 0.000 1
Sb1 0.412 0.049 0.250 1
F1 0.119 0.204 0.250 1
F2 0.126 0.514 0.616 1
F3 0.453 0.689 0.116 1
```

---

This record from the Materials Project describes a relaxed structure of BaSb2F12. The functional is meta-GGA r2SCAN.

Structure (CIF):
```
data_BaSb2F12
_chemical_formula_sum 'Ba1 Sb2 F12'
_cell_length_a 5.521
_cell_length_b 5.602
_cell_length_c 9.396
_cell_angle_alpha 75.54
_cell_angle_beta 80.20
_cell_angle_gamma 60.51
_symmetry_space_group_name_H-M 'P 1'
_symmetry_Int_Tables_number 1
loop_
_symmetry_equiv_pos_as_xyz
'x,y,z'
loop_
_atom_site_label
_atom_site_fract_x
_atom_site_fract_y
_atom_site_fract_z
_atom_site_occupancy
Ba1 0.000 0.000 0.000 1
Sb1 0.328 0.271 0.229 1
Sb2 0.346 0.485 0.667 1
F1 0.013 0.757 0.581 1
F2 0.125 0.373 0.825 1
F3 0.166 0.096 0.375 1
F4 0.204 0.603 0.297 1
F5 0.303 0.743 0.783 1
F6 0.386 0.210 0.571 1
F7 0.447 0.987 0.112 1
F8 0.476 0.449 0.058 1
F9 0.588 0.580 0.530 1
F10 0.654 0.210 0.786 1
F11 0.696 0.081 0.289 1
F12 0.995 0.459 0.120 1
```

---

Number 1: calculated total energy -10.531 eV/atom. Number 2: calculated total energy -12.941 eV/atom. Number 3: calculated total energy -10.529 eV/atom.